The following is a meta-GGA r2SCAN calculation of crystalline PrBiRh at its relaxed geometry, from Materials Project.

Crystal system: orthorhombic

a b c (Å): 4.7645 7.5461 8.0612
angles (deg): 90.00 90.00 90.00
With the nearest neighbours (Å) after each atom.
Element x y z (fractional)
Pr 0.7500 0.5147 0.1968  3 Rh 3.09-3.30, 6 Bi 3.29-3.42
Pr 0.7500 0.0147 0.3032  3 Rh 3.09-3.30, 6 Bi 3.29-3.42
Pr 0.2500 0.4853 0.8032  3 Rh 3.09-3.30, 6 Bi 3.29-3.42
Pr 0.2500 0.9853 0.6968  3 Rh 3.09-3.30, 6 Bi 3.29-3.42
Bi 0.2500 0.8163 0.0905  4 Rh 2.76-2.92
Bi 0.7500 0.1837 0.9095  4 Rh 2.76-2.92
Bi 0.7500 0.6837 0.5905  4 Rh 2.76-2.92
Bi 0.2500 0.3163 0.4095  4 Rh 2.76-2.92
Rh 0.7500 0.2969 0.5806  4 Bi 2.76-2.92
Rh 0.2500 0.7031 0.4194  4 Bi 2.76-2.92
Rh 0.2500 0.2031 0.0806  4 Bi 2.76-2.92
Rh 0.7500 0.7969 0.9194  4 Bi 2.76-2.92

The following is a meta-GGA r2SCAN calculation of crystalline Pr2ZnBi4 at its relaxed geometry, from Materials Project.

Crystal system: tetragonal

a b c (Å): 4.5856 4.5856 10.0862
angles (deg): 90.00 90.00 90.00
With the nearest neighbours (Å) after each atom.
Element x y z (fractional)
Bi 0.0000 0.5000 0.6540  2 Zn 2.77
Bi 0.0000 0.0000 0.0000  4 Bi 3.24, 4 Pr 3.46
Bi 0.5000 0.0000 0.3460  2 Zn 2.77
Bi 0.5000 0.5000 0.0000  4 Bi 3.24, 4 Pr 3.46
Pr 0.0000 0.5000 0.2573  2 Zn 3.35, 8 Bi 3.36-3.46
Pr 0.5000 0.0000 0.7427  2 Zn 3.35, 8 Bi 3.36-3.46
Zn 0.5000 0.5000 0.5000  4 Bi 2.77

The following is a meta-GGA r2SCAN calculation of crystalline BiPt at its relaxed geometry, from Materials Project.

Crystal system: hexagonal

a b c (Å): 4.3831 4.3831 5.5342
angles (deg): 90.00 90.00 120.02
With the nearest neighbours (Å) after each atom.
Element x y z (fractional)
Bi 0.6668 0.3332 0.7500  6 Pt 2.88
Bi 0.3332 0.6668 0.2500  6 Pt 2.88
Pt 0.0000 0.0000 0.0000  2 Pt 2.77, 6 Bi 2.88
Pt 0.0000 0.0000 0.5000  2 Pt 2.77, 6 Bi 2.88

The following is a meta-GGA r2SCAN calculation of crystalline BiSbPt2 at its relaxed geometry, from Materials Project.

Crystal system: hexagonal

a b c (Å): 4.2759 4.2759 5.5527
angles (deg): 90.00 90.00 120.00
With the nearest neighbours (Å) after each atom.
Element x y z (fractional)
Sb 0.3333 0.6667 0.5000  6 Pt 2.82
Pt 0.6667 0.3333 0.2550  2 Pt 2.72-2.83, 3 Sb 2.82, 3 Bi 2.85
Pt 0.6667 0.3333 0.7450  2 Pt 2.72-2.83, 3 Sb 2.82, 3 Bi 2.85
Bi 0.0000 0.0000 0.0000  6 Pt 2.85

The following is a meta-GGA r2SCAN calculation of crystalline TbBiPt at its relaxed geometry, from Materials Project.

Crystal system: cubic

a b c (Å): 4.7449 4.7449 4.7449
angles (deg): 60.00 60.00 60.00
With the nearest neighbours (Å) after each atom.
Element x y z (fractional)
Bi 0.0000 0.0000 0.0000  4 Pt 2.91
Tb 0.5000 0.5000 0.5000  4 Pt 2.91
Pt 0.2500 0.2500 0.2500  4 Tb 2.91, 4 Bi 2.91

The following is a meta-GGA r2SCAN calculation of crystalline Tb5BiPt2 at its relaxed geometry, from Materials Project.

Crystal system: tetragonal

a b c (Å): 8.8148 8.8148 8.8148
angles (deg): 127.11 127.11 78.07
With the nearest neighbours (Å) after each atom.
Element x y z (fractional)
Tb 0.9797 0.7908 0.5000  3 Pt 2.94-2.97
Tb 0.2908 0.4797 0.5000  3 Pt 2.94-2.97
Tb 0.2092 0.7092 0.1889  3 Pt 2.94-2.97
Tb 0.5000 0.5000 0.0000  4 Pt 3.04
Tb 0.0000 0.0000 0.0000  4 Pt 3.04
Tb 0.5203 0.0203 0.8111  3 Pt 2.94-2.97
Tb 0.7092 0.5203 0.5000  3 Pt 2.94-2.97
Tb 0.0203 0.2092 0.5000  3 Pt 2.94-2.97
Tb 0.4797 0.9797 0.1889  3 Pt 2.94-2.97
Tb 0.7908 0.2908 0.8111  3 Pt 2.94-2.97
Pt 0.1392 0.6392 0.7783  8 Tb 2.94-3.04, 1 Pt 3.09
Pt 0.8608 0.3608 0.2217  8 Tb 2.94-3.04, 1 Pt 3.09
Pt 0.6392 0.8608 0.5000  8 Tb 2.94-3.04, 1 Pt 3.09
Pt 0.3608 0.1392 0.5000  8 Tb 2.94-3.04, 1 Pt 3.09
Bi 0.2500 0.2500 0.0000  10 Tb 3.36-3.42
Bi 0.7500 0.7500 0.0000  10 Tb 3.36-3.42

The following is a meta-GGA r2SCAN calculation of crystalline YbBiPt at its relaxed geometry, from Materials Project.

Crystal system: cubic

a b c (Å): 4.6859 4.6859 4.6859
angles (deg): 60.00 60.00 60.00
With the nearest neighbours (Å) after each atom.
Element x y z (fractional)
Pt 0.0000 0.0000 0.0000  4 Bi 2.87, 4 Yb 2.87
Bi 0.2500 0.2500 0.2500  4 Pt 2.87
Yb 0.7500 0.7500 0.7500  4 Pt 2.87

The following is a meta-GGA r2SCAN calculation of crystalline PuBi at its relaxed geometry, from Materials Project.

Crystal system: cubic

a b c (Å): 3.8831 3.8831 3.8831
angles (deg): 90.00 90.00 90.00
With the nearest neighbours (Å) after each atom.
Element x y z (fractional)
Pu 0.0000 0.0000 0.0000  8 Bi 3.36
Bi 0.5000 0.5000 0.5000  8 Pu 3.36

The following is a meta-GGA r2SCAN calculation of crystalline PuBi at its relaxed geometry, from Materials Project.

Crystal system: cubic

a b c (Å): 4.5602 4.5602 4.5602
angles (deg): 60.00 60.00 60.00
With the nearest neighbours (Å) after each atom.
Element x y z (fractional)
Pu 0.0000 0.0000 0.0000  6 Bi 3.22
Bi 0.5000 0.5000 0.5000  6 Pu 3.22

The following is a meta-GGA r2SCAN calculation of crystalline Pu4Bi3 at its relaxed geometry, from Materials Project.

Crystal system: tetragonal

a b c (Å): 8.2706 8.2709 8.2709
angles (deg): 109.43 109.43 109.56
With the nearest neighbours (Å) after each atom.
Element x y z (fractional)
Pu 0.3450 0.3435 0.3466  6 Bi 3.24-3.38, 2 Pu 3.58-3.60
Pu 0.4984 0.9968 0.6533  6 Bi 3.24-3.38, 2 Pu 3.58-3.60
Pu 0.8436 0.8450 0.8467  6 Bi 3.24-3.38, 2 Pu 3.58-3.60
Pu 0.0016 0.6549 0.4984  6 Bi 3.24-3.38, 2 Pu 3.58-3.60
Pu 0.6565 0.5032 0.0015  6 Bi 3.24-3.38, 2 Pu 3.58-3.60
Pu 0.1550 0.5016 0.9985  6 Bi 3.24-3.38, 2 Pu 3.58-3.60
Pu 0.4968 0.9983 0.1533  6 Bi 3.24-3.38, 2 Pu 3.58-3.60
Pu 0.0032 0.1566 0.5016  6 Bi 3.24-3.38, 2 Pu 3.58-3.60
Bi 0.1250 0.8750 0.2500  8 Pu 3.24-3.35
Bi 0.6254 0.7500 0.3754  8 Pu 3.24-3.38
Bi 0.8746 0.2500 0.1246  8 Pu 3.24-3.38
Bi 0.2500 0.1255 0.8755  8 Pu 3.24-3.38
Bi 0.7500 0.3746 0.6246  8 Pu 3.24-3.38
Bi 0.3750 0.6250 0.7500  8 Pu 3.24-3.35

The following is a meta-GGA r2SCAN calculation of crystalline RbBi2 at its relaxed geometry, from Materials Project.

Crystal system: cubic

a b c (Å): 6.7902 6.7902 6.7902
angles (deg): 60.00 60.00 60.00
With the nearest neighbours (Å) after each atom.
Element x y z (fractional)
Bi 0.0000 0.0000 0.5000  6 Bi 3.40
Bi 0.5000 0.0000 0.0000  6 Bi 3.40
Bi 0.0000 0.5000 0.0000  6 Bi 3.40
Bi 0.0000 0.0000 0.0000  6 Bi 3.40
Rb 0.6250 0.6250 0.6250  12 Bi 3.98, 4 Rb 4.16
Rb 0.3750 0.3750 0.3750  12 Bi 3.98, 4 Rb 4.16

The following is a meta-GGA r2SCAN calculation of crystalline Rb3Bi2 at its relaxed geometry, from Materials Project.

Crystal system: monoclinic

a b c (Å): 7.0602 7.0602 9.8510
angles (deg): 79.60 79.60 92.09
With the nearest neighbours (Å) after each atom.
Element x y z (fractional)
Bi 0.3150 0.8816 0.8429  1 Bi 2.98
Bi 0.6851 0.1184 0.1572  1 Bi 2.98
Bi 0.8816 0.3149 0.3428  1 Bi 2.98
Bi 0.1184 0.6850 0.6571  1 Bi 2.98
Rb 0.2376 0.3406 0.9843  6 Bi 3.77-4.09, 2 Rb 3.94-4.10
Rb 0.6594 0.7624 0.5157  6 Bi 3.77-4.09, 2 Rb 3.94-4.10
Rb 0.1579 0.8421 0.2500  6 Bi 3.92-4.09, 4 Rb 3.94-4.24
Rb 0.3405 0.2375 0.4847  6 Bi 3.77-4.09, 2 Rb 3.94-4.10
Rb 0.8422 0.1578 0.7500  6 Bi 3.92-4.09, 4 Rb 3.94-4.23
Rb 0.7625 0.6595 0.0153  6 Bi 3.77-4.09, 2 Rb 3.94-4.10

no.,energy of formation from the pure elements (meV per atom)
1,-806
2,-668
3,-294
4,-358
5,-1188
6,-1045
7,-1158
8,-642
9,-739
10,-796
11,-394
12,-447